<1>
{"formula": "Rb3LuO3", "functional": "r2SCAN", "state": "optimized geometry", "cell": [[7.7186, 0.0000, 0.0000], [0.0000, 7.2448, 0.0000], [-0.7911, 0.0000, 11.5180]], "species": ["Rb", "Rb", "Rb", "Rb", "Rb", "Rb", "Rb", "Rb", "Rb", "Rb", "Rb", "Rb", "Lu", "Lu", "Lu", "Lu", "O", "O", "O", "O", "O", "O", "O", "O", "O", "O", "O", "O"], "fractional_positions": [[0.0663, 0.1220, 0.1571], [0.0663, 0.3780, 0.6571], [0.3586, 0.1639, 0.9220], [0.3586, 0.3361, 0.4220], [0.3754, 0.6950, 0.8102], [0.3754, 0.8050, 0.3102], [0.6246, 0.1950, 0.6898], [0.6246, 0.3050, 0.1898], [0.6414, 0.6639, 0.5780], [0.6414, 0.8361, 0.0780], [0.9337, 0.6220, 0.3429], [0.9337, 0.8780, 0.8429], [0.1585, 0.5880, 0.0684], [0.1585, 0.9120, 0.5684], [0.8415, 0.0880, 0.4316], [0.8415, 0.4120, 0.9316], [0.1108, 0.0511, 0.4079], [0.1108, 0.4489, 0.9079], [0.2529, 0.6503, 0.5463], [0.2529, 0.8497, 0.0463], [0.3013, 0.0550, 0.6929], [0.3013, 0.4450, 0.1929], [0.6987, 0.5550, 0.8071], [0.6987, 0.9450, 0.3071], [0.7471, 0.1503, 0.9537], [0.7471, 0.3497, 0.4537], [0.8892, 0.5511, 0.0921], [0.8892, 0.9489, 0.5921]], "sg": "P2_1/c (14)", "crystal_system": "monoclinic"}



<2>
{"formula": "Rb3LuO3", "functional": "r2SCAN", "state": "optimized geometry", "cell": [[3.8047, -6.0444, 0.0000], [3.8047, 6.0444, 0.0000], [-1.2246, 0.0000, 7.0070]], "species": ["Rb", "Rb", "Rb", "Rb", "Rb", "Rb", "Lu", "Lu", "O", "O", "O", "O", "O", "O"], "fractional_positions": [[0.2025, 0.7975, 0.0000], [0.2609, 0.7391, 0.5000], [0.3638, 0.3638, 0.1428], [0.6362, 0.6362, 0.8572], [0.7391, 0.2609, 0.5000], [0.7975, 0.2025, 0.0000], [0.1745, 0.1745, 0.6483], [0.8255, 0.8255, 0.3517], [0.1010, 0.1010, 0.3462], [0.1642, 0.4406, 0.7678], [0.4406, 0.1642, 0.7678], [0.5594, 0.8358, 0.2322], [0.8358, 0.5594, 0.2322], [0.8990, 0.8990, 0.6538]], "sg": "C2/m (12)", "crystal_system": "monoclinic"}



The most stable arrangement is <1>, and the next structure is 0.009 eV/atom less stable.



<1>
{"formula": "SrLu2O4", "functional": "r2SCAN", "state": "optimized geometry", "cell": [[9.9123, 0.0000, 0.0000], [0.0000, 3.3098, 0.0000], [0.0000, 0.0000, 11.6510]], "species": ["Sr", "Sr", "Sr", "Sr", "Lu", "Lu", "Lu", "Lu", "Lu", "Lu", "Lu", "Lu", "O", "O", "O", "O", "O", "O", "O", "O", "O", "O", "O", "O", "O", "O", "O", "O"], "fractional_positions": [[0.2463, 0.2500, 0.1508], [0.2537, 0.7500, 0.6508], [0.7463, 0.2500, 0.3492], [0.7537, 0.7500, 0.8492], [0.0731, 0.2500, 0.3880], [0.0785, 0.2500, 0.8913], [0.4215, 0.7500, 0.3913], [0.4269, 0.7500, 0.8880], [0.5731, 0.2500, 0.1120], [0.5785, 0.2500, 0.6087], [0.9215, 0.7500, 0.1087], [0.9269, 0.7500, 0.6120], [0.0186, 0.7500, 0.7832], [0.0745, 0.2500, 0.5756], [0.1210, 0.7500, 0.0200], [0.2096, 0.7500, 0.3321], [0.2904, 0.2500, 0.8321], [0.3790, 0.2500, 0.5200], [0.4255, 0.7500, 0.0756], [0.4814, 0.2500, 0.2832], [0.5186, 0.7500, 0.7168], [0.5745, 0.2500, 0.9244], [0.6210, 0.7500, 0.4800], [0.7096, 0.7500, 0.1679], [0.7904, 0.2500, 0.6679], [0.8790, 0.2500, 0.9800], [0.9255, 0.7500, 0.4244], [0.9814, 0.2500, 0.2168]], "sg": "Pnma (62)", "crystal_system": "orthorhombic"}



<2>
{"formula": "SrLu2O4", "functional": "r2SCAN", "state": "optimized geometry", "cell": [[0.0000, 4.7735, 4.7735], [4.7735, 0.0000, 4.7735], [4.7735, 4.7735, 0.0000]], "species": ["Sr", "Sr", "Lu", "Lu", "Lu", "Lu", "O", "O", "O", "O", "O", "O", "O", "O"], "fractional_positions": [[0.1250, 0.1250, 0.1250], [0.8750, 0.8750, 0.8750], [0.0000, 0.5000, 0.5000], [0.5000, 0.0000, 0.5000], [0.5000, 0.5000, 0.0000], [0.5000, 0.5000, 0.5000], [0.2685, 0.2685, 0.2685], [0.2685, 0.2685, 0.6944], [0.2685, 0.6944, 0.2685], [0.3056, 0.7315, 0.7315], [0.6944, 0.2685, 0.2685], [0.7315, 0.3056, 0.7315], [0.7315, 0.7315, 0.3056], [0.7315, 0.7315, 0.7315]], "sg": "Fd-3m (227)", "crystal_system": "cubic"}



The most stable arrangement is <1>, and the next structure is 0.042 eV/atom less stable.



<1>
{"formula": "MgNi2O4", "functional": "r2SCAN", "state": "optimized geometry", "cell": [[5.0123, -2.8999, 0.0000], [5.0123, 2.8999, 0.0000], [-3.3668, 0.0000, 4.7506]], "species": ["Mg", "Mg", "Ni", "Ni", "Ni", "Ni", "O", "O", "O", "O", "O", "O", "O", "O"], "fractional_positions": [[0.1213, 0.1213, 0.3760], [0.8787, 0.8787, 0.6240], [0.0000, 0.5000, 0.0000], [0.5000, 0.0000, 0.0000], [0.5000, 0.5000, 0.0000], [0.5000, 0.5000, 0.5000], [0.2430, 0.2430, 0.7886], [0.2606, 0.7044, 0.2195], [0.2735, 0.2735, 0.2720], [0.2956, 0.7394, 0.7805], [0.7044, 0.2606, 0.2195], [0.7265, 0.7265, 0.7280], [0.7394, 0.2956, 0.7805], [0.7570, 0.7570, 0.2114]], "sg": "C2/m (12)", "crystal_system": "monoclinic"}



<2>
{"formula": "MgNi2O4", "functional": "r2SCAN", "state": "optimized geometry", "cell": [[-2.9276, 2.9276, 4.0340], [2.9276, -2.9276, 4.0340], [2.9276, 2.9276, -4.0340]], "species": ["Mg", "Mg", "Ni", "Ni", "Ni", "Ni", "O", "O", "O", "O", "O", "O", "O", "O"], "fractional_positions": [[0.3750, 0.1250, 0.2500], [0.6250, 0.8750, 0.7500], [0.0000, 0.0000, 0.5000], [0.0000, 0.5000, 0.0000], [0.0000, 0.5000, 0.5000], [0.5000, 0.5000, 0.0000], [0.2076, 0.2556, 0.4956], [0.2121, 0.7076, 0.4520], [0.2444, 0.2400, 0.9520], [0.2600, 0.7121, 0.0044], [0.7400, 0.2879, 0.9956], [0.7556, 0.7600, 0.0480], [0.7879, 0.2924, 0.5480], [0.7924, 0.7444, 0.5044]], "sg": "I4_1/a (88)", "crystal_system": "tetragonal"}



The most stable arrangement is <2>, and the next structure is 0.007 eV/atom less stable.



<1>
{"formula": "Mg5Pb", "functional": "r2SCAN", "state": "optimized geometry", "cell": [[5.6343, 0.0000, 0.0000], [-2.8172, 4.8795, 0.0000], [0.0000, 0.0000, 5.1019]], "species": ["Mg", "Mg", "Mg", "Mg", "Mg", "Pb"], "fractional_positions": [[0.0000, 0.6567, 0.0000], [0.3333, 0.6667, 0.5000], [0.3433, 0.3433, 0.0000], [0.6567, 0.0000, 0.0000], [0.6667, 0.3333, 0.5000], [0.0000, 0.0000, 0.5000]], "sg": "P-62m (189)", "crystal_system": "hexagonal"}



<2>
{"formula": "Mg5Pb", "functional": "r2SCAN", "state": "optimized geometry", "cell": [[5.2743, 0.0000, 0.0000], [0.0000, 1.6225, 8.2498], [0.0000, -1.6225, 8.2498]], "species": ["Mg", "Mg", "Mg", "Mg", "Mg", "Pb"], "fractional_positions": [[0.0000, 0.0000, 0.0000], [0.0000, 0.3297, 0.3297], [0.0000, 0.6633, 0.6633], [0.5000, 0.2155, 0.2155], [0.5000, 0.5527, 0.5527], [0.5000, 0.8861, 0.8861]], "sg": "Amm2 (38)", "crystal_system": "orthorhombic"}



The most stable arrangement is <1>, and the next structure is 0.005 eV/atom less stable.



<1>
{"formula": "MgPb5", "functional": "r2SCAN", "state": "optimized geometry", "cell": [[5.7610, 0.0000, 0.0000], [0.0000, 1.7534, 8.7913], [0.0000, -1.7534, 8.7913]], "species": ["Mg", "Pb", "Pb", "Pb", "Pb", "Pb"], "fractional_positions": [[0.0000, 0.0000, 0.0000], [0.0000, 0.3433, 0.3433], [0.0000, 0.6534, 0.6534], [0.5000, 0.1126, 0.1126], [0.5000, 0.4489, 0.4489], [0.5000, 0.7791, 0.7791]], "sg": "Amm2 (38)", "crystal_system": "orthorhombic"}



<2>
{"formula": "MgPb5", "functional": "r2SCAN", "state": "optimized geometry", "cell": [[2.9628, 1.7106, 5.8231], [-2.9628, 1.7106, 5.8231], [0.0000, -3.4211, 5.8231]], "species": ["Mg", "Pb", "Pb", "Pb", "Pb", "Pb"], "fractional_positions": [[0.0000, 0.0000, 0.0000], [0.1638, 0.8362, 0.5000], [0.3347, 0.3347, 0.3347], [0.5000, 0.1638, 0.8362], [0.6653, 0.6653, 0.6653], [0.8362, 0.5000, 0.1638]], "sg": "R32 (155)", "crystal_system": "trigonal"}



The most stable arrangement is <1>, and the next structure is 0.005 eV/atom less stable.



<1>
{"formula": "Pm2Mg", "functional": "r2SCAN", "state": "optimized geometry", "cell": [[-1.9157, 1.9157, 6.3516], [1.9157, -1.9157, 6.3516], [1.9157, 1.9157, -6.3516]], "species": ["Pm", "Pm", "Mg"], "fractional_positions": [[0.1552, 0.1552, 0.0000], [0.8448, 0.8448, 0.0000], [0.5000, 0.5000, 0.0000]], "sg": "I4/mmm (139)", "crystal_system": "tetragonal"}



<2>
{"formula": "Pm2Mg", "functional": "r2SCAN", "state": "optimized geometry", "cell": [[1.9177, -8.7219, 0.0000], [1.9177, 8.7219, 0.0000], [0.0000, 0.0000, 5.5698]], "species": ["Pm", "Pm", "Pm", "Pm", "Mg", "Mg"], "fractional_positions": [[0.0874, 0.9126, 0.7500], [0.2275, 0.7725, 0.2500], [0.7725, 0.2275, 0.7500], [0.9126, 0.0874, 0.2500], [0.4311, 0.5689, 0.7500], [0.5689, 0.4311, 0.2500]], "sg": "Cmcm (63)", "crystal_system": "orthorhombic"}



The most stable arrangement is <2>, and the next structure is 0.010 eV/atom less stable.